# 1
# CuSb2O4 (PBE-GGA, relaxed)
# Raw total energy   -0.209 hartree per atom
# Total magnetization   4.0 Bohr magnetons per cell
# Volume   16.8 A^3/atom
# Space-group type   No. 106
# ΔH_f (0 K)   -1.48 eV per atom
data_CuSb2O4
_chemical_formula_sum 'Cu4 Sb8 O16'
_symmetry_space_group_name_H-M 'P 1'
_symmetry_Int_Tables_number 1
_cell_length_a 8.9456
_cell_length_b 8.9456
_cell_length_c 5.8925
_cell_angle_alpha 90.00
_cell_angle_beta 90.00
_cell_angle_gamma 90.00
loop_
_symmetry_equiv_pos_as_xyz
'x,y,z'
loop_
_atom_site_label
_atom_site_type_symbol
_atom_site_fract_x
_atom_site_fract_y
_atom_site_fract_z
Cu1 Cu 0.0000 0.5000 0.0000
Cu2 Cu 0.0000 0.5000 0.5000
Cu3 Cu 0.5000 0.0000 0.0000
Cu4 Cu 0.5000 0.0000 0.5000
Sb1 Sb 0.1531 0.1896 0.2389
Sb2 Sb 0.1896 0.8469 0.7389
Sb3 Sb 0.3104 0.3469 0.7389
Sb4 Sb 0.3469 0.6896 0.2389
Sb5 Sb 0.6531 0.3104 0.2389
Sb6 Sb 0.6896 0.6531 0.7389
Sb7 Sb 0.8104 0.1531 0.7389
Sb8 Sb 0.8469 0.8104 0.2389
O1 O 0.0899 0.3794 0.7510
O2 O 0.1206 0.4101 0.2510
O3 O 0.1844 0.7091 0.0070
O4 O 0.2091 0.6844 0.5070
O5 O 0.2909 0.1844 0.5070
O6 O 0.3156 0.2091 0.0070
O7 O 0.3794 0.9101 0.2510
O8 O 0.4101 0.8794 0.7510
O9 O 0.5899 0.1206 0.7510
O10 O 0.6206 0.0899 0.2510
O11 O 0.6844 0.7909 0.0070
O12 O 0.7091 0.8156 0.5070
O13 O 0.7909 0.3156 0.5070
O14 O 0.8156 0.2909 0.0070
O15 O 0.8794 0.5899 0.2510
O16 O 0.9101 0.6206 0.7510

# 2
# K2GeI6O18 (PBE-GGA, relaxed)
# Raw total energy   -0.169 hartree per atom
# Total magnetization   0.0 Bohr magnetons per cell
# Volume   16.2 A^3/atom
# Space-group type   No. 148
# ΔH_f (0 K)   -1.16 eV per atom
data_K2GeI6O18
_chemical_formula_sum 'K2 Ge1 I6 O18'
_symmetry_space_group_name_H-M 'P 1'
_symmetry_Int_Tables_number 1
_cell_length_a 7.6378
_cell_length_b 7.6378
_cell_length_c 7.6378
_cell_angle_alpha 96.56
_cell_angle_beta 96.56
_cell_angle_gamma 96.56
loop_
_symmetry_equiv_pos_as_xyz
'x,y,z'
loop_
_atom_site_label
_atom_site_type_symbol
_atom_site_fract_x
_atom_site_fract_y
_atom_site_fract_z
K1 K 0.1784 0.1784 0.1784
K2 K 0.8216 0.8216 0.8216
Ge1 Ge 0.5000 0.5000 0.5000
I1 I 0.1416 0.7046 0.3326
I2 I 0.2954 0.6674 0.8584
I3 I 0.3326 0.1416 0.7046
I4 I 0.6674 0.8584 0.2954
I5 I 0.7046 0.3326 0.1416
I6 I 0.8584 0.2954 0.6674
O1 O 0.0878 0.6224 0.7068
O2 O 0.0910 0.0911 0.6831
O3 O 0.0911 0.6831 0.0910
O4 O 0.2932 0.9122 0.3776
O5 O 0.3169 0.9090 0.9089
O6 O 0.3186 0.3239 0.5522
O7 O 0.3239 0.5522 0.3186
O8 O 0.3776 0.2932 0.9122
O9 O 0.4478 0.6814 0.6761
O10 O 0.5522 0.3186 0.3239
O11 O 0.6224 0.7068 0.0878
O12 O 0.6761 0.4478 0.6814
O13 O 0.6814 0.6761 0.4478
O14 O 0.6831 0.0910 0.0911
O15 O 0.7068 0.0878 0.6224
O16 O 0.9089 0.3169 0.9090
O17 O 0.9090 0.9089 0.3169
O18 O 0.9122 0.3776 0.2932